Material: NaMn2Mo2H3O10
Method: DFT, GGA+U
State: relaxed

Geometry as extended XYZ:
```
18
Lattice="-2.504 5.284 -0.318 3.583 4.095 2.165 3.167 4.321 -5.694" Properties=species:S:1:pos:R:3 pbc="T T T"
O 1.102 7.898 -4.045
O 1.269 8.303 0.799
O 1.757 4.324 -2.254
O 3.558 10.008 -4.074
O 4.533 7.237 -2.641
O 3.103 5.801 0.176
O 2.932 5.405 -4.665
O -0.328 6.480 -1.219
O 2.476 9.378 -1.598
O 0.590 3.710 0.187
H 0.996 3.994 -0.673
H 0.483 4.700 0.900
H 3.152 9.725 -3.215
Mo 1.901 9.847 0.003
Mo 2.310 3.860 -3.865
Mn 5.459 11.049 -3.702
Mn 1.760 2.070 1.067
Na 2.114 6.852 -1.928
```

The formation enthalpy at 0 K comes out at -1.90 eV/atom. The energy with MP2020 corrections comes out at -7.509 eV/atom. The energy is -6.59 eV per atom. The total magnetic moment is 10.00 μB per cell. For the offset from the most stable computed form, the calculation gives 0.001 eV/atom.